Record 1
The following is a DFT calculation (PBE with a Hubbard U) of an optimized crystal structure of Fe3OF5.

a b c (Å): 4.7826 5.7936 8.0869
angles (deg): 87.83 90.00 90.00
Closest atoms and distances in Å follow each position.
Fractional coordinates of all 18 atoms:
F: 0.2089 0.8901 0.5505  3 Fe 2.04-2.24
F: 0.3117 0.3666 0.5837  3 Fe 2.13-2.20
F: 0.2875 0.0543 0.8840  3 Fe 2.03-2.21
F: 0.1952 0.5458 0.8990  3 Fe 2.03-2.13
F: 0.7875 0.9457 0.1160  3 Fe 2.03-2.21
F: 0.7089 0.1099 0.4495  3 Fe 2.04-2.24
F: 0.8117 0.6334 0.4163  3 Fe 2.13-2.20
F: 0.6952 0.4542 0.1010  3 Fe 2.03-2.13
F: 0.2914 0.7218 0.2281  3 Fe 1.98-2.21
F: 0.7914 0.2782 0.7719  3 Fe 1.98-2.21
Fe: 0.5212 0.0624 0.6744  1 O 1.84, 3 F 1.98-2.04
Fe: 0.0212 0.9376 0.3256  1 O 1.84, 3 F 1.98-2.04
Fe: 0.0077 0.2538 0.0141  5 F 2.03-2.21, 1 O 2.08
Fe: 0.4858 0.4140 0.3331  1 O 2.00, 5 F 2.13-2.24
Fe: 0.5077 0.7462 0.9859  5 F 2.03-2.21, 1 O 2.08
Fe: 0.9858 0.5860 0.6669  1 O 2.00, 5 F 2.13-2.24
O: 0.1905 0.2055 0.2462  2 Fe 1.84-2.00
O: 0.6905 0.7945 0.7538  2 Fe 1.84-2.00

Results
Symmetry ... P2_1
Total moment ... 13.00 μB/f.u.
Energy above the lowest structure with this stoichiometry ... 28 meV/atom
ΔH_f (0 K) ... -2361.2 meV per atom

---

Record 2
The following is a DFT calculation (PBE with a Hubbard U) of an optimized crystal structure of LiMnB2O5.

a b c (Å): 11.4557 5.4705 11.7631
angles (deg): 78.67 90.00 90.00
Closest atoms and distances in Å follow each position.
Fractional coordinates of all 72 atoms:
O: 0.3877 0.3164 0.0688  1 B 1.37
O: 0.1123 0.8164 0.0688  1 B 1.37
O: 0.6813 0.0722 0.7621  1 B 1.38
O: 0.8187 0.5722 0.7621  1 B 1.38
O: 0.6739 0.7895 0.1043  1 B 1.35
O: 0.3261 0.2105 0.8957  1 B 1.35
O: 0.0778 0.8083 0.5767  1 B 1.38
O: 0.1739 0.7105 0.8957  1 B 1.35
O: 0.1938 0.0813 0.7072  1 B 1.37
O: 0.6123 0.6836 0.9312  1 B 1.37
O: 0.9222 0.1917 0.4233  1 B 1.38
O: 0.8882 0.6199 0.9502  2 B 1.40-1.42
O: 0.4472 0.5964 0.2241  1 B 1.37
O: 0.0528 0.0964 0.2241  1 B 1.37
O: 0.3734 0.8901 0.5489  2 B 1.41-1.42
O: 0.9472 0.9036 0.7759  1 B 1.37
O: 0.6266 0.1099 0.4511  2 B 1.41-1.42
O: 0.5528 0.4036 0.7759  1 B 1.37
O: 0.3529 0.2535 0.3974  1 B 1.35
O: 0.5778 0.6917 0.4233  1 B 1.38
O: 0.3062 0.5813 0.7072  1 B 1.37
O: 0.6938 0.4187 0.2928  1 B 1.37
O: 0.4304 0.8978 0.7500  1 B 1.39
O: 0.0696 0.3978 0.7500  1 B 1.39
O: 0.6118 0.1199 0.9502  2 B 1.40-1.42
O: 0.8062 0.9187 0.2928  1 B 1.37
O: 0.1813 0.4278 0.2379  1 B 1.38
O: 0.8734 0.6099 0.4511  2 B 1.41-1.42
O: 0.1266 0.3901 0.5489  2 B 1.41-1.42
O: 0.6471 0.7465 0.6026  1 B 1.35
O: 0.9304 0.6022 0.2500  1 B 1.39
O: 0.8877 0.1836 0.9312  1 B 1.37
O: 0.8261 0.2895 0.1043  1 B 1.35
O: 0.5696 0.1022 0.2500  1 B 1.39
O: 0.1471 0.7535 0.3974  1 B 1.35
O: 0.4222 0.3083 0.5767  1 B 1.38
O: 0.1118 0.3801 0.0498  2 B 1.40-1.42
O: 0.3882 0.8801 0.0498  2 B 1.40-1.42
O: 0.8529 0.2465 0.6026  1 B 1.35
O: 0.3187 0.9278 0.2379  1 B 1.38
Li: 0.1214 0.1308 0.4221  4 O 2.16-2.33
Li: 0.3786 0.6308 0.4221  4 O 2.16-2.33
Li: 0.6390 0.3678 0.0790  5 O 2.19-2.42
Li: 0.3610 0.6322 0.9210  5 O 2.19-2.42
Li: 0.8786 0.8692 0.5779  4 O 2.16-2.33
Li: 0.8610 0.8678 0.0790  5 O 2.19-2.42
Li: 0.6214 0.3692 0.5779  4 O 2.16-2.33
Li: 0.1390 0.1322 0.9210  5 O 2.19-2.42
B: 0.3842 0.7993 0.1704  3 O 1.37-1.40
B: 0.8842 0.7007 0.8296  3 O 1.37-1.40
B: 0.1310 0.6370 0.0043  3 O 1.35-1.42
B: 0.6310 0.8630 0.9957  3 O 1.35-1.42
B: 0.1151 0.6499 0.5066  3 O 1.35-1.42
B: 0.1158 0.2993 0.1704  3 O 1.37-1.40
B: 0.3849 0.1499 0.5066  3 O 1.35-1.42
B: 0.6151 0.8501 0.4934  3 O 1.35-1.42
B: 0.6158 0.2007 0.8296  3 O 1.37-1.40
B: 0.3690 0.1370 0.0043  3 O 1.35-1.42
B: 0.8690 0.3630 0.9957  3 O 1.35-1.42
B: 0.6286 0.2100 0.3311  3 O 1.37-1.41
B: 0.3714 0.7900 0.6689  3 O 1.37-1.41
B: 0.1286 0.2900 0.6689  3 O 1.37-1.41
B: 0.8849 0.3501 0.4934  3 O 1.35-1.42
B: 0.8714 0.7100 0.3311  3 O 1.37-1.41
Mn: 0.1238 0.7464 0.7366  4 O 1.92-1.98
Mn: 0.3768 0.2641 0.2346  4 O 1.92-1.97
Mn: 0.6238 0.7536 0.2634  4 O 1.92-1.98
Mn: 0.6232 0.7359 0.7654  4 O 1.92-1.97
Mn: 0.3762 0.2464 0.7366  4 O 1.92-1.98
Mn: 0.8768 0.2359 0.7654  4 O 1.92-1.97
Mn: 0.1232 0.7641 0.2346  4 O 1.92-1.97
Mn: 0.8762 0.2536 0.2634  4 O 1.92-1.98

Results
Symmetry ... P2_1/c
Total moment ... 4.00 μB/f.u.
Energy above the lowest structure with this stoichiometry ... 33 meV/atom
ΔH_f (0 K) ... -2509.9 meV per atom

---

Record 3
The following is a DFT calculation (PBE with a Hubbard U) of an optimized crystal structure of Li2Fe3SnO8.

a b c (Å): 5.8927 10.1938 6.0976
angles (deg): 106.52 60.78 90.09
Closest atoms and distances in Å follow each position.
Fractional coordinates of all 28 atoms:
Fe: 0.7516 0.2497 0.9988  6 O 1.98-2.02
Fe: 0.4959 0.9992 0.9980  6 O 1.90-1.98
Fe: 0.0043 0.5012 0.0029  6 O 1.97-2.04
Fe: 0.2485 0.7500 0.0001  6 O 1.97-2.02
Fe: 0.2491 0.2505 0.9990  6 O 1.89-1.96
Fe: 0.7532 0.7455 0.9990  6 O 2.01-2.11
Sn: 0.2497 0.2521 0.5010  6 O 2.06-2.12
Sn: 0.7503 0.7485 0.4987  6 O 2.07-2.11
O: 0.6543 0.6231 0.2317  1 Li 1.94, 2 Fe 1.99-2.03, 1 Sn 2.08
O: 0.8337 0.8820 0.7768  2 Fe 1.92-2.11, 1 Li 1.98, 1 Sn 2.11
O: 0.1172 0.1443 0.7781  2 Fe 1.94-1.99, 1 Li 1.95, 1 Sn 2.11
O: 0.3845 0.3554 0.2191  2 Fe 1.95-2.00, 1 Li 1.99, 1 Sn 2.09
O: 0.8890 0.8579 0.2301  1 Li 1.92, 2 Fe 1.97-2.03, 1 Sn 2.08
O: 0.3508 0.3661 0.7764  2 Fe 1.93-2.04, 1 Li 1.97, 1 Sn 2.10
O: 0.6137 0.1253 0.2184  2 Fe 1.97-1.99, 1 Li 1.99, 1 Sn 2.09
O: 0.1123 0.6280 0.7922  3 Fe 1.97-2.01, 1 Li 2.12
O: 0.3898 0.8779 0.2029  3 Fe 1.90-2.10
O: 0.1198 0.6281 0.2278  1 Li 1.97, 2 Fe 1.98-2.00, 1 Sn 2.08
O: 0.3819 0.8761 0.7771  2 Fe 1.94-2.02, 1 Li 1.99, 1 Sn 2.11
O: 0.9118 0.3602 0.1986  3 Fe 1.89-2.03
O: 0.5890 0.1340 0.8018  3 Fe 1.93-2.02
O: 0.8847 0.3720 0.7777  1 Li 1.96, 2 Fe 1.98-2.01, 1 Sn 2.06
O: 0.6092 0.6425 0.7714  1 Li 1.94, 2 Fe 1.98-2.02, 1 Sn 2.07
O: 0.1584 0.1289 0.2180  2 Fe 1.96-1.97, 1 Li 2.00, 1 Sn 2.12
Li: 0.6843 0.4414 0.6429  3 O 1.94-1.97
Li: 0.1825 0.9419 0.6327  4 O 1.95-2.17
Li: 0.3137 0.5615 0.3721  4 O 1.94-2.12
Li: 0.8166 0.0567 0.3568  3 O 1.92-2.00

Results
Symmetry ... P1
Total moment ... 13.00 μB/f.u.
Energy above the lowest structure with this stoichiometry ... 57 meV/atom
ΔH_f (0 K) ... -1804.2 meV per atom

---

Record 4
The following is a DFT calculation (PBE with a Hubbard U) of an optimized crystal structure of NaNi2H3Se2O10.

a b c (Å): 6.3863 7.7087 8.9816
angles (deg): 99.49 90.01 114.47
Closest atoms and distances in Å follow each position.
Fractional coordinates of all 36 atoms:
Ni: 0.2517 0.9999 0.2469  6 O 2.02-2.14
Ni: 0.7517 0.9998 0.7468  6 O 2.02-2.14
Ni: 0.7480 0.0001 0.2470  6 O 2.02-2.14
Ni: 0.2479 0.0000 0.7470  6 O 2.02-2.14
Na: 0.2507 0.5014 0.7495  6 O 2.43-2.56
Na: 0.7507 0.5015 0.2495  6 O 2.43-2.56
H: 0.0061 0.0121 0.4900  1 O 1.13
H: 0.1133 0.2265 0.4203  1 O 0.99
H: 0.8914 0.7825 0.5745  1 O 0.98
H: 0.5061 0.0121 0.9900  1 O 1.13
H: 0.6133 0.2265 0.9203  1 O 0.99
H: 0.3913 0.7826 0.0745  1 O 0.98
O: 0.4298 0.8595 0.6131  1 Se 1.72
O: 0.0702 0.1405 0.8854  1 Se 1.72
O: 0.4100 0.2514 0.6539  1 Se 1.68
O: 0.9099 0.2513 0.1539  1 Se 1.68
O: 0.5703 0.1406 0.3854  1 Se 1.72
O: 0.5916 0.7510 0.3445  1 Se 1.68
O: 0.1593 0.7509 0.3444  1 Se 1.68
O: 0.8415 0.2512 0.6539  1 Se 1.68
O: 0.2574 0.5148 0.0212  1 Se 1.64
O: 0.9620 0.9240 0.6090  1 H 0.98
O: 0.5420 0.0839 0.8874  1 H 0.99
O: 0.6593 0.7509 0.8445  1 Se 1.68
O: 0.7432 0.4864 0.9763  1 Se 1.65, 1 H 1.80
O: 0.0419 0.0840 0.3874  1 H 0.99
O: 0.0916 0.7510 0.8444  1 Se 1.68
O: 0.9297 0.8595 0.1131  1 Se 1.72
O: 0.7574 0.5148 0.5212  1 Se 1.64
O: 0.4620 0.9240 0.1091  1 H 0.98
O: 0.2432 0.4864 0.4763  1 Se 1.65, 1 H 1.80
O: 0.3415 0.2513 0.1540  1 Se 1.68
Se: 0.3540 0.7080 0.4397  4 O 1.65-1.72
Se: 0.6469 0.2938 0.5579  4 O 1.64-1.72
Se: 0.8540 0.7080 0.9397  4 O 1.65-1.72
Se: 0.1469 0.2938 0.0579  4 O 1.64-1.72

Results
Total moment ... 0.00 μB/f.u.
ΔH_f (0 K) ... -1364.8 meV per atom

---

Record 5
The following is a DFT calculation (PBE with a Hubbard U) of an optimized crystal structure of Li9Mn2Co5O16.

a b c (Å): 5.0698 7.7663 7.8163
angles (deg): 97.43 101.86 103.48
Closest atoms and distances in Å follow each position.
Fractional coordinates of all 32 atoms:
O: 0.7652 0.0047 0.7680  1 Mn 1.97, 2 Co 2.05-2.06, 2 Li 2.09-2.13
O: 0.2265 0.7352 0.4959  1 Mn 1.91, 1 Co 2.02, 3 Li 2.06-2.11
O: 0.7432 0.3561 0.8673  3 Co 1.93-2.15
O: 0.7661 0.7660 0.0046  1 Mn 1.93, 2 Co 2.07-2.11, 1 Li 2.10
O: 0.7556 0.6041 0.6210  1 Co 1.89, 1 Mn 1.98, 1 Li 2.08
O: 0.7751 0.5020 0.2653  1 Mn 1.93, 1 Co 1.99, 3 Li 2.05-2.11
O: 0.2348 0.4949 0.7334  1 Mn 1.99, 2 Co 2.02-2.05, 2 Li 2.08-2.13
O: 0.2364 0.2368 0.9944  1 Mn 1.96, 2 Co 2.06-2.07, 3 Li 2.12-2.16
O: 0.7591 0.8708 0.3619  2 Co 1.91-2.01, 3 Li 2.04-2.11
O: 0.2548 0.1417 0.6360  3 Co 1.97-2.06, 2 Li 2.16-2.20
O: 0.2498 0.8970 0.8831  2 Co 1.95-2.15, 1 Mn 1.96, 2 Li 2.17-2.19
O: 0.2371 0.9978 0.2287  1 Mn 1.94, 2 Co 2.05-2.11, 2 Li 2.10-2.13
O: 0.7519 0.1058 0.1112  1 Mn 1.94, 2 Co 2.06, 1 Li 2.14
O: 0.2365 0.3820 0.3903  1 Mn 1.92, 1 Co 1.99, 3 Li 2.05-2.08
O: 0.7600 0.2630 0.5064  1 Mn 1.99, 2 Co 2.05-2.06, 3 Li 2.12-2.19
O: 0.2543 0.6453 0.1262  1 Co 1.84
Co: 0.4943 0.8646 0.1299  4 O 1.84-2.06
Co: 0.9920 0.7494 0.2586  6 O 1.91-2.11
Co: 0.4999 0.3830 0.6178  5 O 1.89-2.05
Co: 0.0030 0.2502 0.7481  6 O 1.97-2.07
Co: 0.5023 0.1266 0.8758  6 O 1.93-2.06
Li: 0.5004 0.2568 0.2539  6 O 2.06-2.28
Li: 0.5024 0.5024 0.0081  6 O 2.13-2.28
Li: 0.9976 0.6250 0.8758  6 O 2.08-2.19
Li: 0.5008 0.9919 0.4968  6 O 2.14-2.25
Li: 0.9994 0.1246 0.3733  6 O 2.04-2.16
Li: 0.4965 0.7482 0.7425  6 O 2.08-2.24
Li: 0.0126 0.3799 0.1342  6 O 2.05-2.20
Li: 0.9900 0.8694 0.6186  6 O 2.06-2.20
Li: 0.5009 0.6239 0.3758  6 O 2.07-2.14
Mn: 0.0017 0.5008 0.4965  6 O 1.91-1.99
Mn: 0.9997 0.0000 0.0005  6 O 1.93-1.97

Results
Symmetry ... P1
Total moment ... 8.00 μB/f.u.
Energy above the lowest structure with this stoichiometry ... 29 meV/atom
ΔH_f (0 K) ... -1835.6 meV per atom

---

Record 6
The following is a DFT calculation (PBE with a Hubbard U) of an optimized crystal structure of Bi2Mo2Se2O13.

a b c (Å): 6.7135 7.0688 11.8481
angles (deg): 89.47 82.39 86.71
Closest atoms and distances in Å follow each position.
Fractional coordinates of all 38 atoms:
Se: 0.2377 0.4167 0.0602  3 O 1.73-1.77
Se: 0.8197 0.2119 0.4339  3 O 1.72-1.80
Se: 0.7623 0.5833 0.9398  3 O 1.73-1.77
Se: 0.1803 0.7881 0.5661  3 O 1.72-1.80
O: 0.6417 0.5521 0.2762  1 Mo 1.79
O: 0.8140 0.7627 0.4279  1 Mo 1.74
O: 0.3997 0.3447 0.1560  1 Se 1.73
O: 0.8487 0.9636 0.9352  1 Mo 1.96
O: 0.6946 0.1630 0.3211  1 Se 1.72
O: 0.7367 0.3361 0.9501  1 Se 1.77
O: 0.9789 0.3973 0.3782  1 Se 1.80
O: 0.1951 0.6594 0.2837  2 Mo 1.98-2.13
O: 0.0028 0.5847 0.8605  1 Se 1.76
O: 0.2633 0.6639 0.0499  1 Se 1.77
O: 0.8027 0.9485 0.7000  1 Mo 1.76
O: 0.1860 0.2373 0.5721  1 Mo 1.74
O: 0.3054 0.8370 0.6789  1 Se 1.72
O: 0.1973 0.0515 0.3000  1 Mo 1.76
O: 0.3731 0.6532 0.4909  1 Se 1.72
O: 0.4895 0.0997 0.8507  1 Mo 1.75
O: 0.1513 0.0365 0.0648  1 Mo 1.96
O: 0.9161 0.8333 0.1940  1 Mo 1.86
O: 0.0839 0.1667 0.8060  1 Mo 1.86
O: 0.3583 0.4479 0.7238  1 Mo 1.79
O: 0.0211 0.6027 0.6218  1 Se 1.80
O: 0.8049 0.3406 0.7163  2 Mo 1.98-2.13
O: 0.5105 0.9003 0.1493  1 Mo 1.75
O: 0.6003 0.6553 0.8440  1 Se 1.73
O: 0.6269 0.3468 0.5091  1 Se 1.72
O: 0.9972 0.4153 0.1395  1 Se 1.76
Mo: 0.8773 0.6397 0.3004  3 O 1.74-1.86
Mo: 0.2504 0.8863 0.1884  3 O 1.75-1.96
Mo: 0.1227 0.3603 0.6996  3 O 1.74-1.86
Mo: 0.7496 0.1137 0.8116  3 O 1.75-1.96
Bi: 0.6326 0.5988 0.6484  4 O 2.26-2.45
Bi: 0.1926 0.8746 0.8878  7 O 2.35-2.61
Bi: 0.3674 0.4012 0.3516  4 O 2.26-2.45
Bi: 0.8074 0.1254 0.1122  7 O 2.35-2.61

Results
Symmetry ... P-1
Total moment ... 0.00 μB/f.u.
ΔH_f (0 K) ... -1687.0 meV per atom